Computed, not measured: a relaxed structure of Fe2SeS at the GGA-PBE level of DFT.

Structure (extended XYZ):
```
4
Lattice="3.415 0.000 0.000 -1.708 2.958 0.000 0.000 0.000 5.659" Properties=species:S:1:pos:R:3 pbc="T T T"
Fe 0.000 0.000 1.304
Fe 0.000 0.000 4.354
Se 0.000 1.972 2.829
S 1.708 0.986 0.000
```

Its energy relative to the elements is -0.232 eV/atom. The space group is P-6m2 (187). As for the mass density: 6.47 g cm⁻³. Its crystal system is hexagonal. As for the uncorrected energy: -6.25 eV per atom. For the corrected total energy (MP2020 scheme), the calculation gives -6.375 eV per atom.

=====

Computed, not measured: a relaxed structure of Fe3Se4S2 at the GGA-PBE level of DFT.

Structure (extended XYZ):
```
18
Lattice="7.463 0.000 0.000 0.000 3.529 0.000 -1.729 0.000 10.692" Properties=species:S:1:pos:R:3 pbc="T T T"
Fe 0.000 0.000 0.000
Fe 0.661 1.764 3.436
Fe 1.326 0.000 7.129
Fe 1.974 1.764 10.649
Fe 4.367 0.000 3.499
Fe 5.048 1.764 7.008
Se -0.143 1.764 7.622
Se 0.327 0.000 4.976
Se -0.299 1.764 10.135
Se 2.914 1.764 4.018
Se 2.760 1.764 6.545
Se 5.986 1.764 0.499
Se 4.726 0.000 8.554
Se 5.822 1.764 2.964
S 0.945 0.000 2.021
S 3.415 0.000 1.417
S 2.242 0.000 9.192
S 5.308 0.000 5.570
```

Its energy relative to the elements is -0.489 eV/atom. The space group is Pm (6). As for the mass density: 6.46 g cm⁻³. Its crystal system is monoclinic. As for the uncorrected energy: -5.67 eV per atom. For the corrected total energy (MP2020 scheme), the calculation gives -5.785 eV per atom.

=====

Computed, not measured: a relaxed structure of Fe2SiS4 at the GGA-PBE level of DFT.

Structure (extended XYZ):
```
28
Lattice="5.498 0.000 0.000 0.000 6.724 0.000 -0.103 0.000 11.942" Properties=species:S:1:pos:R:3 pbc="T T T"
Fe 0.000 0.000 0.000
Fe -0.051 0.000 5.971
Fe 5.471 1.751 2.876
Fe -0.077 1.751 9.065
Fe -0.051 3.362 5.971
Fe 5.471 4.973 2.876
Fe -0.077 4.973 9.065
Fe 2.749 3.362 0.000
Si 2.206 3.362 3.911
Si 2.201 0.000 9.983
Si 3.193 0.000 1.958
Si 3.189 3.362 8.031
S 1.010 0.000 1.974
S 1.033 3.362 7.941
S 1.122 0.000 8.094
S 1.155 1.725 4.876
S 1.155 5.000 4.876
S 1.276 1.671 10.982
S 1.276 5.053 10.982
S 1.380 3.362 1.935
S 4.014 3.362 10.006
S 4.119 1.671 0.960
S 4.119 5.053 0.960
S 4.240 1.725 7.066
S 4.240 5.000 7.066
S 4.273 0.000 3.847
S 4.362 3.362 4.001
S 4.385 0.000 9.968
```

Its energy relative to the elements is -0.582 eV/atom. The space group is P2/m (10). As for the mass density: 4.03 g cm⁻³. Its crystal system is monoclinic. As for the uncorrected energy: -5.85 eV per atom. For the corrected total energy (MP2020 scheme), the calculation gives -6.141 eV per atom.

=====

Computed, not measured: a relaxed structure of Fe2SiS4 at the GGA-PBE level of DFT.

Structure (extended XYZ):
```
14
Lattice="6.760 0.000 0.000 -3.380 5.855 0.000 0.000 0.000 5.432" Properties=species:S:1:pos:R:3 pbc="T T T"
Fe 0.000 0.000 0.000
Fe -1.690 2.927 2.716
Fe 3.380 0.000 2.716
Fe 1.690 2.927 2.716
Si 0.000 3.903 0.453
Si 3.380 1.952 4.980
S 0.000 1.964 1.372
S -1.679 4.873 1.372
S 0.000 3.903 3.731
S 1.701 0.982 4.061
S 1.679 4.873 1.372
S 3.380 1.952 1.701
S 5.059 0.982 4.061
S 3.380 3.891 4.061
```

Its energy relative to the elements is -0.658 eV/atom. The space group is P-3m1 (164). As for the mass density: 4.14 g cm⁻³. Its crystal system is trigonal. As for the uncorrected energy: -5.93 eV per atom. For the corrected total energy (MP2020 scheme), the calculation gives -6.216 eV per atom.